[1]
Here is SrNdCrSnO6 after structural relaxation from the Materials Project database. Energies are from PBE with a Hubbard U.

```
data_SrNdCrSnO6
_chemical_formula_sum 'Sr4 Nd4 Cr4 Sn4 O24'
_cell_length_a 8.007
_cell_length_b 8.007
_cell_length_c 8.007
_cell_angle_alpha 90.00
_cell_angle_beta 90.00
_cell_angle_gamma 90.00
_space_group_name_H-M_alt 'F -4 3 m'
_space_group_IT_number 216
_space_group_name_Hall 'F -4 2 3'
loop_
_atom_site_label
_atom_site_type_symbol
_atom_site_fract_x
_atom_site_fract_y
_atom_site_fract_z
_atom_site_occupancy
Sr1 Sr 0.000 0.000 0.000 1
Nd1 Nd 0.000 0.000 0.500 1
Cr1 Cr 0.250 0.250 0.250 1
Sn1 Sn 0.250 0.250 0.750 1
O1 O 0.003 0.250 0.250 1
```

[2]
Here is MnAlO3 after structural relaxation from the Materials Project database. Energies are from PBE with a Hubbard U.

```
data_MnAlO3
_chemical_formula_sum 'Mn6 Al6 O18'
_cell_length_a 5.336
_cell_length_b 10.614
_cell_length_c 6.009
_cell_angle_alpha 90.00
_cell_angle_beta 116.15
_cell_angle_gamma 90.00
_space_group_name_H-M_alt 'P 1 21 1'
_space_group_IT_number 4
_space_group_name_Hall 'P 2yb'
loop_
_atom_site_label
_atom_site_type_symbol
_atom_site_fract_x
_atom_site_fract_y
_atom_site_fract_z
_atom_site_occupancy
Mn1 Mn 0.014 0.000 0.170 1
Mn2 Mn 0.318 0.524 0.499 1
Mn3 Mn 0.345 0.000 0.832 1
Al1 Al 0.032 0.267 0.501 1
Al2 Al 0.334 0.247 0.191 1
Al3 Al 0.357 0.747 0.191 1
O1 O 0.009 0.830 0.068 1
O2 O 0.047 0.174 0.256 1
O3 O 0.062 0.940 0.501 1
O4 O 0.260 0.557 0.156 1
O5 O 0.291 0.702 0.498 1
O6 O 0.292 0.173 0.744 1
O7 O 0.373 0.348 0.499 1
O8 O 0.398 0.057 0.160 1
O9 O 0.441 0.829 0.933 1
```

[3]
# PBE with a Hubbard U Co2OF3, relaxed
data_Co2OF3
_chemical_formula_sum 'Co12 O6 F18'
_cell_length_a 9.525
_cell_length_b 6.797
_cell_length_c 6.479
_cell_angle_alpha 90.00
_cell_angle_beta 90.00
_cell_angle_gamma 90.00
_space_group_name_H-M_alt 'A m m 2'
_space_group_IT_number 38
_space_group_name_Hall 'A 2 -2'
loop_
_atom_site_label
_atom_site_type_symbol
_atom_site_fract_x
_atom_site_fract_y
_atom_site_fract_z
_atom_site_occupancy
Co1 Co 0.000 0.000 0.000 1
Co2 Co 0.165 0.000 0.533 1
Co3 Co 0.331 0.000 0.063 1
Co4 Co 0.500 0.000 0.522 1
O1 O 0.000 0.000 0.725 1
O2 O 0.331 0.000 0.340 1
F1 F 0.000 0.000 0.312 1
F2 F 0.166 0.194 0.032 1
F3 F 0.336 0.000 0.751 1
F4 F 0.500 0.196 0.042 1
# Offset from the most stable computed form, meV per atom: 23

[4]
# PBE with a Hubbard U MgFe4Co2O12, relaxed
data_MgFe4Co2O12
_chemical_formula_sum 'Mg1 Fe4 Co2 O12'
_cell_length_a 4.758
_cell_length_b 4.835
_cell_length_c 8.726
_cell_angle_alpha 89.70
_cell_angle_beta 89.57
_cell_angle_gamma 87.97
_space_group_name_H-M_alt 'P 1'
_space_group_IT_number 1
_space_group_name_Hall 'P 1'
loop_
_atom_site_label
_atom_site_type_symbol
_atom_site_fract_x
_atom_site_fract_y
_atom_site_fract_z
_atom_site_occupancy
Mg1 Mg 0.000 0.000 0.000 1
Fe1 Fe 0.494 0.005 0.667 1
Fe2 Fe 0.499 0.005 0.334 1
Fe3 Fe 0.983 0.492 0.176 1
Fe4 Fe 0.999 0.505 0.825 1
Co1 Co 0.026 0.534 0.501 1
Co2 Co 0.499 0.006 0.000 1
O1 O 0.198 0.330 0.660 1
O2 O 0.198 0.331 0.343 1
O3 O 0.213 0.334 0.999 1
O4 O 0.279 0.844 0.840 1
O5 O 0.288 0.848 0.156 1
O6 O 0.291 0.814 0.502 1
O7 O 0.685 0.177 0.504 1
O8 O 0.711 0.164 0.843 1
O9 O 0.722 0.164 0.159 1
O10 O 0.778 0.674 0.000 1
O11 O 0.804 0.685 0.344 1
O12 O 0.805 0.685 0.660 1
# Offset from the most stable computed form, meV per atom: 3

[5]
# PBE with a Hubbard U Li2FeF4, relaxed
data_Li2FeF4
_chemical_formula_sum 'Li4 Fe2 F8'
_cell_length_a 4.886
_cell_length_b 4.886
_cell_length_c 8.356
_cell_angle_alpha 90.00
_cell_angle_beta 90.00
_cell_angle_gamma 90.00
_space_group_name_H-M_alt 'I -4'
_space_group_IT_number 82
_space_group_name_Hall 'I -4'
loop_
_atom_site_label
_atom_site_type_symbol
_atom_site_fract_x
_atom_site_fract_y
_atom_site_fract_z
_atom_site_occupancy
Li1 Li 0.000 0.000 0.000 1
Li2 Li 0.000 0.500 0.250 1
Fe1 Fe 0.000 0.000 0.500 1
F1 F 0.205 0.281 0.108 1
# Piezoelectric modulus e_max, C/m2: 0.5
# Offset from the most stable computed form, meV per atom: 71

[6]
Here is Zn2Cr5P6O24 after structural relaxation from the Materials Project database. Energies are from PBE with a Hubbard U.

```
data_Zn2Cr5P6O24
_chemical_formula_sum 'Zn2 Cr5 P6 O24'
_cell_length_a 6.385
_cell_length_b 7.982
_cell_length_c 9.437
_cell_angle_alpha 105.41
_cell_angle_beta 108.09
_cell_angle_gamma 101.33
_space_group_name_H-M_alt 'P -1'
_space_group_IT_number 2
_space_group_name_Hall '-P 1'
loop_
_atom_site_label
_atom_site_type_symbol
_atom_site_fract_x
_atom_site_fract_y
_atom_site_fract_z
_atom_site_occupancy
Zn1 Zn 0.208 0.185 0.205 1
Cr1 Cr 0.119 0.543 0.391 1
Cr2 Cr 0.451 0.283 0.976 1
Cr3 Cr 0.500 0.000 0.500 1
P1 P 0.105 0.765 0.131 1
P2 P 0.275 0.852 0.735 1
P3 P 0.406 0.405 0.667 1
O1 O 0.045 0.734 0.731 1
O2 O 0.053 0.633 0.216 1
O3 O 0.132 0.242 0.994 1
O4 O 0.185 0.457 0.581 1
O5 O 0.222 0.963 0.257 1
O6 O 0.251 0.714 0.035 1
O7 O 0.275 0.799 0.562 1
O8 O 0.292 0.052 0.797 1
O9 O 0.380 0.465 0.340 1
O10 O 0.381 0.210 0.584 1
O11 O 0.429 0.452 0.844 1
O12 O 0.486 0.812 0.844 1
```

| no. | uncorrected energy (eV per cell) | total energy after the MP2020 corrections (eV per atom) | calculated formation energy (meV/atom) |
| --- | --- | --- | --- |
| 1 | -284.50 | -7.725 | -2744 |
| 2 | -220.44 | -8.094 | -2543 |
| 3 | -187.81 | -6.108 | -1957 |
| 4 | -114.13 | -7.088 | -1347 |
| 5 | -71.27 | -5.677 | -2828 |
| 6 | -268.84 | -7.982 | -2522 |